Entry 1:
LiLuRh2 | meta-GGA r2SCAN | optimized geometry

Unit cell a=6.272 b=6.272 c=6.272 alpha=90.00 beta=90.00 gamma=90.00
Atoms (fractional coordinates):
Li1 0.000 0.000 0.000
Li2 0.000 0.500 0.500
Li3 0.500 0.000 0.500
Li4 0.500 0.500 0.000
Lu1 0.000 0.000 0.500
Lu2 0.000 0.500 0.000
Lu3 0.500 0.000 0.000
Lu4 0.500 0.500 0.500
Rh1 0.250 0.250 0.250
Rh2 0.250 0.250 0.750
Rh3 0.250 0.750 0.250
Rh4 0.250 0.750 0.750
Rh5 0.750 0.250 0.250
Rh6 0.750 0.250 0.750
Rh7 0.750 0.750 0.250
Rh8 0.750 0.750 0.750

Entry 2:
LiLuTl2 | meta-GGA r2SCAN | optimized geometry

Unit cell a=7.194 b=7.194 c=7.194 alpha=90.00 beta=90.00 gamma=90.00
Atoms (fractional coordinates):
Li1 0.000 0.000 0.000
Li2 0.000 0.500 0.500
Li3 0.500 0.000 0.500
Li4 0.500 0.500 0.000
Lu1 0.000 0.000 0.500
Lu2 0.000 0.500 0.000
Lu3 0.500 0.000 0.000
Lu4 0.500 0.500 0.500
Tl1 0.250 0.250 0.250
Tl2 0.250 0.250 0.750
Tl3 0.250 0.750 0.250
Tl4 0.250 0.750 0.750
Tl5 0.750 0.250 0.250
Tl6 0.750 0.250 0.750
Tl7 0.750 0.750 0.250
Tl8 0.750 0.750 0.750

Entry 3:
LiMg | meta-GGA r2SCAN | optimized geometry

Unit cell a=9.200 b=5.414 c=5.832 alpha=90.00 beta=120.56 gamma=90.00
Atoms (fractional coordinates):
Li1 0.000 0.000 0.000
Li2 0.164 0.324 0.497
Li3 0.336 0.824 0.503
Li4 0.500 0.500 0.000
Li5 0.664 0.824 0.497
Li6 0.836 0.324 0.503
Mg1 0.000 0.828 0.500
Mg2 0.167 0.497 0.001
Mg3 0.333 0.997 0.999
Mg4 0.500 0.328 0.500
Mg5 0.667 0.997 0.001
Mg6 0.833 0.497 0.999

| no. | ΔE_f (meV/atom) | total magnetic moment (μB per formula unit) |
| --- | --- | --- |
| 1 | -621 | 0.0 |
| 2 | -351 | 0.0 |
| 3 | -28 | 0.0 |